# 1
VASP calculation (PBE with a Hubbard U) on a relaxed Fe2O3 crystal.

a = 5.1050 Å, b = 5.1049 Å, c = 5.4951 Å
α = 117.68°, β = 90.00°, γ = 120.00°
Positions (direct):
Fe1 0.6458 0.2917 0.9375
Fe2 0.3542 0.7083 0.0625
Fe3 0.8542 0.7083 0.5625
Fe4 0.1458 0.2917 0.4375
O1 0.4451 0.1951 0.2500
O2 0.5549 0.8049 0.7500
O3 0.7500 0.8049 0.2500
O4 0.2500 0.1951 0.7500
O5 0.0549 0.5000 0.2500
O6 0.9451 0.5000 0.7500

Results
Symmetry = R-3c, No. 167

---

# 2
VASP calculation (PBE with a Hubbard U) on a relaxed CsLiWO4 crystal.

a = 6.1169 Å, b = 6.1169 Å, c = 6.1169 Å
α = 121.29°, β = 121.29°, γ = 87.78°
Positions (direct):
Cs1 0.0000 0.0000 0.0000
Li1 0.7500 0.2500 0.5000
W1 0.5000 0.5000 0.0000
O1 0.6270 0.4214 0.2842
O2 0.1372 0.3428 0.7158
O3 0.5786 0.8628 0.2056
O4 0.6572 0.3730 0.7944

Results
Total magnetic moment = 0.000 μB/f.u.
Symmetry = I-4, No. 82
Piezoelectric modulus e_max = 0.34 C/m2

---

# 3
VASP calculation (PBE with a Hubbard U) on a relaxed Li2Fe2P3O12 crystal.

a = 8.7150 Å, b = 8.7150 Å, c = 8.7710 Å
α = 59.84°, β = 59.84°, γ = 61.01°
Positions (direct):
Li1 0.6845 0.8259 0.4430
Li2 0.1741 0.3155 0.0570
Li3 0.8259 0.6845 0.9430
Li4 0.3155 0.1741 0.5570
Fe1 0.8572 0.3645 0.4254
Fe2 0.6355 0.1428 0.0746
Fe3 0.3645 0.8572 0.9254
Fe4 0.1428 0.6355 0.5746
P1 0.9660 0.0340 0.2500
P2 0.0340 0.9660 0.7500
P3 0.5428 0.7464 0.2455
P4 0.2536 0.4572 0.2545
P5 0.7464 0.5428 0.7455
P6 0.4572 0.2536 0.7545
O1 0.8657 0.9945 0.9267
O2 0.6935 0.3764 0.9120
O3 0.9484 0.2181 0.2538
O4 0.4682 0.1965 0.9477
O5 0.9945 0.8657 0.4267
O6 0.7819 0.0516 0.2462
O7 0.7323 0.5852 0.2394
O8 0.5652 0.9037 0.2622
O9 0.4148 0.2677 0.2606
O10 0.8035 0.5318 0.5523
O11 0.9037 0.5652 0.7622
O12 0.6236 0.3065 0.5880
O13 0.3764 0.6935 0.4120
O14 0.0963 0.4348 0.2378
O15 0.1965 0.4682 0.4477
O16 0.5852 0.7323 0.7394
O17 0.4348 0.0963 0.7378
O18 0.2677 0.4148 0.7606
O19 0.2181 0.9484 0.7538
O20 0.0055 0.1343 0.5733
O21 0.5318 0.8035 0.0523
O22 0.0516 0.7819 0.7462
O23 0.3065 0.6236 0.0880
O24 0.1343 0.0055 0.0733

Results
Total magnetic moment = 11.000 μB/f.u.
Energy relative to the lowest polymorph listed for this composition = 19 meV/atom
Symmetry = C2/c, No. 15

---

# 4
VASP calculation (PBE with a Hubbard U) on a relaxed Li3Ni3O3F5 crystal.

a = 5.8863 Å, b = 5.9777 Å, c = 5.7066 Å
α = 118.50°, β = 89.99°, γ = 60.35°
Positions (direct):
Li1 0.3666 0.7669 0.3835
Li2 0.7549 0.4795 0.7398
Li3 0.0113 0.0129 0.0064
Ni1 0.8733 0.7490 0.3745
Ni2 0.3684 0.2500 0.3784
Ni3 0.3685 0.2500 0.8716
O1 0.1393 0.2895 0.1448
O2 0.5989 0.2117 0.6058
O3 0.1662 0.2351 0.6176
F1 0.6158 0.7577 0.6241
F2 0.6159 0.7577 0.1336
F3 0.1370 0.7400 0.1292
F4 0.1369 0.7399 0.6107
F5 0.5968 0.2602 0.1300

Results
Total magnetic moment = 4.000 μB/f.u.
Symmetry = Cm, No. 8

---

# 5
VASP calculation (PBE with a Hubbard U) on a relaxed Li6V3P8O29 crystal.

a = 9.8370 Å, b = 9.8370 Å, c = 14.0945 Å
α = 90.00°, β = 90.00°, γ = 120.00°
Positions (direct):
Li1 0.2463 0.3461 0.0621
Li2 0.0997 0.3461 0.5621
Li3 0.2463 0.9003 0.5621
Li4 0.0000 0.0000 0.3879
Li5 0.0000 0.0000 0.8879
Li6 0.0997 0.7537 0.0621
Li7 0.6539 0.9003 0.0621
Li8 0.6539 0.7537 0.5621
Li9 0.6667 0.3333 0.6063
Li10 0.6667 0.3333 0.1063
Li11 0.3333 0.6667 0.9924
Li12 0.3333 0.6667 0.4924
V1 0.8946 0.6656 0.2507
V2 0.7710 0.6656 0.7507
V3 0.8946 0.2290 0.7507
V4 0.7710 0.1054 0.2507
V5 0.3344 0.2290 0.2507
V6 0.3344 0.1054 0.7507
P1 0.2423 0.3508 0.8443
P2 0.1086 0.3508 0.3443
P3 0.2423 0.8914 0.3443
P4 0.0000 0.0000 0.1269
P5 0.0000 0.0000 0.6269
P6 0.1086 0.7577 0.8443
P7 0.0244 0.5795 0.6605
P8 0.6492 0.8914 0.8443
P9 0.0244 0.4448 0.1605
P10 0.6492 0.7577 0.3443
P11 0.5552 0.5795 0.1605
P12 0.6667 0.3333 0.3688
P13 0.6667 0.3333 0.8688
P14 0.4205 0.4448 0.6605
P15 0.5552 0.9756 0.6605
P16 0.4205 0.9756 0.1605
O1 0.3222 0.4516 0.5817
O2 0.2498 0.3273 0.3311
O3 0.1294 0.4516 0.0817
O4 0.0775 0.3273 0.8311
O5 0.2261 0.1851 0.8299
O6 0.1517 0.1469 0.1658
O7 0.2261 0.0410 0.3299
O8 0.3222 0.8706 0.0817
O9 0.2498 0.9225 0.8311
O10 0.9953 0.1469 0.6658
O11 0.9590 0.1851 0.3299
O12 0.1517 0.0047 0.6658
O13 0.0000 0.0000 0.0201
O14 0.0000 0.0000 0.5201
O15 0.9953 0.8483 0.1658
O16 0.8149 0.0410 0.8299
O17 0.8531 0.0047 0.1658
O18 0.0775 0.7502 0.3311
O19 0.1114 0.6498 0.7602
O20 0.1294 0.6778 0.5817
O21 0.1125 0.6830 0.9360
O22 0.9590 0.7739 0.8299
O23 0.8531 0.8483 0.6658
O24 0.9945 0.5849 0.1580
O25 0.8149 0.7739 0.3299
O26 0.6727 0.9225 0.3311
O27 0.1114 0.4616 0.2602
O28 0.1125 0.4295 0.4360
O29 0.5484 0.8706 0.5817
O30 0.9945 0.4096 0.6580
O31 0.8608 0.5683 0.6665
O32 0.6727 0.7502 0.8311
O33 0.8066 0.4855 0.3250
O34 0.7074 0.5683 0.1665
O35 0.5484 0.6778 0.0817
O36 0.5705 0.6830 0.4360
O37 0.5384 0.6498 0.2602
O38 0.5904 0.5849 0.6580
O39 0.8066 0.3211 0.8250
O40 0.8608 0.2926 0.1665
O41 0.6789 0.4855 0.8250
O42 0.6667 0.3333 0.9742
O43 0.6667 0.3333 0.4742
O44 0.5145 0.3211 0.3250
O45 0.7074 0.1392 0.6665
O46 0.6789 0.1934 0.3250
O47 0.4151 0.4096 0.1580
O48 0.3502 0.4616 0.7602
O49 0.3170 0.4295 0.9360
O50 0.4317 0.2926 0.6665
O51 0.5145 0.1934 0.8250
O52 0.4317 0.1392 0.1665
O53 0.5904 0.0055 0.1580
O54 0.5705 0.8875 0.9360
O55 0.5384 0.8886 0.7602
O56 0.4151 0.0055 0.6580
O57 0.3170 0.8875 0.4360
O58 0.3502 0.8886 0.2602

Results
Total magnetic moment = 3.000 μB/f.u.
Energy relative to the lowest polymorph listed for this composition = 5 meV/atom
Symmetry = P3c1, No. 158

---

# 6
VASP calculation (PBE with a Hubbard U) on a relaxed Li2MgCr3Se3S3O24 crystal.

a = 8.5409 Å, b = 8.5634 Å, c = 9.0814 Å
α = 63.61°, β = 62.64°, γ = 60.83°
Positions (direct):
Li1 0.7692 0.1696 0.6341
Li2 0.4221 0.7607 0.6241
Mg1 0.1673 0.1525 0.5411
Cr1 0.8453 0.8493 0.4523
Cr2 0.6447 0.6541 0.0687
Cr3 0.3519 0.3518 0.9319
Se1 0.9457 0.2549 0.2523
Se2 0.7578 0.4585 0.7517
Se3 0.2564 0.5446 0.2463
S1 0.4702 0.0310 0.7503
S2 0.5466 0.9540 0.2540
S3 0.0302 0.7567 0.7435
O1 0.9772 0.0320 0.2935
O2 0.9601 0.2751 0.4215
O3 0.9800 0.3214 0.7048
O4 0.6593 0.0245 0.6080
O5 0.5081 0.1018 0.0997
O6 0.7286 0.4022 0.2422
O7 0.3522 0.9967 0.6972
O8 0.6201 0.3651 0.7582
O9 0.6887 0.4847 0.9446
O10 0.8948 0.7017 0.9143
O11 0.3832 0.2198 0.7697
O12 0.7001 0.6702 0.6024
O13 0.3023 0.3383 0.3914
O14 0.6361 0.7654 0.2264
O15 0.1057 0.3027 0.0668
O16 0.3012 0.5312 0.0526
O17 0.3852 0.6552 0.2269
O18 0.6796 0.9779 0.2992
O19 0.2264 0.6438 0.7480
O20 0.5035 0.8887 0.9117
O21 0.3690 0.9559 0.4054
O22 0.0269 0.6802 0.3004
O23 0.0075 0.7199 0.6084
O24 0.9993 0.9582 0.6975

Results
Total magnetic moment = 9.999 μB/f.u.
Symmetry = P1, No. 1

---

# 7
VASP calculation (PBE with a Hubbard U) on a relaxed BaCo2P2O8 crystal.

a = 4.7679 Å, b = 4.8718 Å, c = 8.5176 Å
α = 90.41°, β = 106.11°, γ = 119.22°
Positions (direct):
Ba1 0.0000 0.0000 0.0000
Co1 0.3275 0.1492 0.5051
Co2 0.6725 0.8508 0.4949
P1 0.1432 0.5710 0.7188
P2 0.8568 0.4290 0.2812
O1 0.9118 0.1492 0.3413
O2 0.2748 0.6355 0.9087
O3 0.7252 0.3645 0.0913
O4 0.5954 0.4449 0.3514
O5 0.0882 0.8508 0.6587
O6 0.7976 0.2435 0.6597
O7 0.2024 0.7565 0.3403
O8 0.4046 0.5551 0.6486

Results
Total magnetic moment = 5.999 μB/f.u.
Energy relative to the lowest polymorph listed for this composition = 26 meV/atom
Symmetry = P-1, No. 2

---

# 8
VASP calculation (PBE with a Hubbard U) on a relaxed ZnFe2O4 crystal.

a = 2.9217 Å, b = 9.0504 Å, c = 10.3728 Å
α = 90.00°, β = 90.00°, γ = 90.00°
Positions (direct):
Zn1 0.7500 0.7534 0.6536
Zn2 0.2500 0.2466 0.3464
Zn3 0.7500 0.2534 0.8464
Zn4 0.2500 0.7466 0.1536
Fe1 0.7500 0.9365 0.8800
Fe2 0.2500 0.0635 0.1200
Fe3 0.7500 0.4365 0.6200
Fe4 0.2500 0.5635 0.3800
Fe5 0.7500 0.9145 0.4009
Fe6 0.2500 0.0855 0.5991
Fe7 0.7500 0.4145 0.0991
Fe8 0.2500 0.5855 0.9009
O1 0.7500 0.7094 0.3261
O2 0.2500 0.2906 0.6739
O3 0.7500 0.2094 0.1739
O4 0.2500 0.7906 0.8261
O5 0.7500 0.6172 0.0336
O6 0.2500 0.3828 0.9664
O7 0.7500 0.1172 0.4664
O8 0.2500 0.8828 0.5336
O9 0.7500 0.5369 0.7889
O10 0.2500 0.4631 0.2111
O11 0.7500 0.0369 0.7111
O12 0.2500 0.9631 0.2889
O13 0.7500 0.9063 0.0726
O14 0.2500 0.0937 0.9274
O15 0.7500 0.4063 0.4274
O16 0.2500 0.5937 0.5726

Results
Total magnetic moment = 10.000 μB/f.u.
Energy relative to the lowest polymorph listed for this composition = 218 meV/atom
Symmetry = Pnma, No. 62

---

# 9
VASP calculation (PBE with a Hubbard U) on a relaxed Li4V3P8O29 crystal.

a = 9.7973 Å, b = 9.8025 Å, c = 14.0373 Å
α = 90.06°, β = 90.00°, γ = 119.93°
Positions (direct):
Li1 0.2281 0.3251 0.9408
Li2 0.6850 0.9076 0.9413
Li3 0.0883 0.7716 0.9402
Li4 0.7737 0.0919 0.5589
Li5 0.2262 0.9068 0.4417
Li6 0.3196 0.0930 0.0582
Li7 0.3175 0.2287 0.5607
Li8 0.9030 0.6780 0.5576
V1 0.5692 0.9984 0.7508
V2 0.4378 0.0000 0.2500
V3 0.0015 0.4322 0.2492
V4 0.9982 0.5635 0.7511
V5 0.4347 0.4352 0.7481
V6 0.5691 0.5676 0.2509
P1 0.2310 0.3184 0.1601
P2 0.0843 0.3151 0.6571
P3 0.6844 0.7685 0.6573
P4 0.3320 0.6660 0.8728
P5 0.3326 0.6660 0.3702
P6 0.6842 0.9105 0.1589
P7 0.7737 0.0896 0.3412
P8 0.0888 0.7701 0.1572
P9 0.9159 0.2298 0.8433
P10 0.2312 0.9098 0.6589
P11 0.3206 0.0887 0.8403
P12 0.6680 0.3323 0.6274
P13 0.6667 0.3337 0.1298
P14 0.3186 0.2299 0.3429
P15 0.9125 0.6815 0.3397
P16 0.7680 0.6825 0.8428
O1 0.2450 0.2349 0.4339
O2 0.2517 0.3369 0.6588
O3 0.0084 0.2439 0.9300
O4 0.0870 0.3422 0.1647
O5 0.3832 0.4773 0.1771
O6 0.3246 0.5131 0.8336
O7 0.5219 0.6180 0.6752
O8 0.7678 0.7693 0.9294
O9 0.6569 0.7417 0.1679
O10 0.1835 0.5208 0.3245
O11 0.0940 0.4770 0.6786
O12 0.4784 0.6634 0.3262
O13 0.3238 0.6695 0.9790
O14 0.3282 0.6706 0.4756
O15 0.4856 0.8131 0.8335
O16 0.0955 0.6181 0.1770
O17 0.1819 0.6706 0.8290
O18 0.6619 0.9150 0.6609
O19 0.7927 0.9999 0.2501
O20 0.7610 0.0092 0.4323
O21 0.7518 0.9909 0.0679
O22 0.5227 0.9033 0.1796
O23 0.3323 0.8188 0.3290
O24 0.7484 0.0848 0.8420
O25 0.3787 0.8982 0.6758
O26 0.0808 0.7440 0.6610
O27 0.9998 0.2088 0.7501
O28 0.9924 0.2369 0.5703
O29 0.9998 0.7586 0.4296
O30 0.9154 0.2581 0.3321
O31 0.6194 0.0968 0.3204
O32 0.2578 0.9175 0.1630
O33 0.6762 0.1875 0.6669
O34 0.4804 0.0981 0.8224
O35 0.2434 0.0008 0.9305
O36 0.2371 0.9969 0.5692
O37 0.2095 0.9994 0.7499
O38 0.3406 0.0826 0.3373
O39 0.8149 0.3364 0.1740
O40 0.9052 0.3821 0.8230
O41 0.5133 0.1811 0.1709
O42 0.6581 0.3292 0.0243
O43 0.6755 0.3423 0.5212
O44 0.5144 0.3267 0.6666
O45 0.9060 0.5226 0.3227
O46 0.8174 0.4868 0.6714
O47 0.3377 0.2542 0.8391
O48 0.2098 0.2079 0.2507
O49 0.2410 0.2414 0.0701
O50 0.4773 0.3819 0.3231
O51 0.6624 0.4790 0.1754
O52 0.6210 0.5219 0.8249
O53 0.9175 0.6621 0.8376
O54 0.0099 0.7652 0.0663
O55 0.0018 0.7922 0.2492
O56 0.7447 0.6578 0.3352
O57 0.7667 0.7612 0.5704
O58 0.7901 0.7899 0.7500

Results
Total magnetic moment = 1.000 μB/f.u.
Energy relative to the lowest polymorph listed for this composition = 13 meV/atom
Symmetry = P1, No. 1

---

The following formation enthalpy at 0 K values (in eV/atom) correspond, in order, to the records above: -1.707 -2.323 -2.383 -2.128 -2.657 -1.850 -2.542 -1.527 -2.570.